No. 1
Computed, not measured: crystalline K4Zn2Sn21 at its relaxed geometry at the r²SCAN level of DFT.

Cell: 12.1595 17.1922 17.2041 Å, 90.00 90.00 90.00°
With the nearest neighbours (Å) after each atom.
Space group Ama2 (No. 40)
One atom of each set of equivalent atoms:
K: 0.0000 0.0000 0.0000 x4  10 Sn 3.85-4.29, 2 Zn 4.14
K: 0.2500 0.1132 0.6474 x4  8 Sn 3.84-4.21, 3 Zn 4.22-4.24
K: 0.2500 0.2528 0.2685 x4  20 Sn 3.80-4.22
K: 0.2500 0.3725 0.9053 x4  8 Sn 3.85-4.22, 3 Zn 4.23-4.27
Zn: 0.0000 0.0000 0.5198 x4  4 Sn 2.68-2.69
Zn: 0.2500 0.1244 0.8936 x4  4 Sn 2.66
Sn: 0.0575 0.3062 0.7124 x8  4 Sn 2.85-2.89
Sn: 0.0657 0.2479 0.4508 x8  4 Sn 2.84-2.87
Sn: 0.0674 0.4320 0.2683 x8  4 Sn 2.85-2.87
Sn: 0.0678 0.0667 0.2720 x8  4 Sn 2.82-2.86
Sn: 0.0698 0.2506 0.0850 x8  4 Sn 2.84-2.87
Sn: 0.0711 0.1877 0.8312 x8  1 Zn 2.66, 3 Sn 2.87-2.89
Sn: 0.1298 0.4101 0.1090 x8  1 Zn 2.69, 3 Sn 2.87-2.92
Sn: 0.1305 0.0889 0.4308 x8  1 Zn 2.68, 3 Sn 2.86-2.91
Sn: 0.2500 0.0396 0.1713 x4  4 Sn 2.85-2.88
Sn: 0.2500 0.1507 0.0458 x4  1 Zn 2.66, 3 Sn 2.86-2.88
Sn: 0.2500 0.3470 0.4788 x4  4 Sn 2.86-2.90
Sn: 0.2500 0.3749 0.6437 x4  4 Sn 2.87-2.88
Sn: 0.2500 0.4721 0.3658 x4  1 Zn 2.66, 3 Sn 2.87-2.90


No. 2
Computed, not measured: crystalline K5Te3 at its relaxed geometry at the r²SCAN level of DFT.

Cell: 13.7700 13.7700 6.4325 Å, 90.00 90.00 90.00°
With the nearest neighbours (Å) after each atom.
Space group I4/m (No. 87)
One atom of each set of equivalent atoms:
K: 0.0000 0.5000 0.2500 x4  2 K 3.22, 4 Te 3.43
K: 0.0882 0.7811 0.0000 x8  6 Te 3.63-3.77, 3 K 3.67-4.06
K: 0.0913 0.2244 0.5000 x8  6 Te 3.62-3.79, 1 K 3.67
Te: 0.0000 0.0000 0.2797 x4  1 Te 2.83
Te: 0.1551 0.3438 0.0000 x8  10 K 3.43-3.79


No. 3
Computed, not measured: crystalline K2Te3 at its relaxed geometry at the r²SCAN level of DFT.

Cell: 16.0423 10.2237 4.6603 Å, 90.00 90.00 90.00°
With the nearest neighbours (Å) after each atom.
Space group Pnma (No. 62)
One atom of each set of equivalent atoms:
K: 0.1230 0.0289 0.2206 x8  7 Te 3.54-3.80
Te: 0.0173 0.2500 0.6908 x4  1 Te 2.85
Te: 0.1229 0.7500 0.6833 x4  2 Te 2.85
Te: 0.2396 0.2500 0.7968 x4  1 Te 2.85


So what do the calculations give for energy? Going down the list: -20.9820; -14.4669; -18.5207 eV/atom.
So what do the calculations give for calculated density? Going down the list: 5.1; 3.1; 4.0 g/cm³.